8
Lattice="-2.948 0.768 -3.313 -1.468 -0.790 4.181 0.279 8.063 1.622" Properties=species:S:1:pos:R:3 comment="HfAlPt2 PBE-GGA optimized geometry" formation_enthalpy_0k_mev_per_atom=-398.5 volume_a3_per_cell=144.36 pbc="T T T"
Hf -1.892 1.745 2.088
Hf -2.246 6.296 0.402
Al 0.070 2.016 0.406
Al 0.209 6.047 1.217
Pt -1.706 7.122 3.170
Pt -2.432 0.918 -0.680
Pt -2.339 3.611 -0.139
Pt -1.799 4.430 2.629